## K4BaU3O12 (PBE-GGA)

Data for a relaxed K4BaU3O12 crystal.

Geometry as extended XYZ:
```
20
Lattice="6.229 3.597 2.585 -6.229 3.597 2.585 0.000 -7.193 2.585" Properties=species:S:1:pos:R:3 pbc="T T T"
K 0.000 0.000 0.000
K -6.229 0.000 3.877
K -3.115 1.798 1.292
K 3.115 1.798 1.292
Ba 0.000 0.000 3.877
U -3.115 -1.798 2.585
U -3.115 1.798 5.170
U 0.000 3.597 2.585
O -1.734 -1.001 1.531
O -1.525 -2.641 3.877
O -3.050 0.000 3.877
O 1.734 -1.001 1.531
O 0.000 2.002 1.531
O 1.525 -2.641 3.877
O -1.525 2.641 3.877
O 0.000 -2.002 6.224
O -1.734 1.001 6.224
O 3.050 0.000 3.877
O 1.525 2.641 3.877
O 1.734 1.001 6.224
```

Summary:
- Energy: -7.80 eV per atom
- Formation energy from the elements: -311.8 kJ per mole of atoms
- Space group: R-3m, No. 166
- Crystal system: trigonal

---

## K4BaU3O12 (PBE-GGA)

Data for a relaxed K4BaU3O12 crystal.

Geometry as extended XYZ:
```
20
Lattice="-4.456 4.456 4.456 4.456 -4.456 4.456 4.456 4.456 -4.456" Properties=species:S:1:pos:R:3 pbc="T T T"
K 2.228 2.228 -2.228
K 2.228 -2.228 2.228
K -2.228 2.228 2.228
K 2.228 2.228 2.228
Ba 0.000 0.000 0.000
U 4.456 0.000 0.000
U 0.000 4.456 0.000
U 0.000 0.000 4.456
O 2.531 0.000 0.000
O 6.381 0.000 0.000
O 4.456 2.228 0.000
O 4.456 0.000 2.228
O 0.000 2.531 0.000
O 0.000 0.000 2.531
O 2.228 4.456 0.000
O 2.228 0.000 4.456
O 0.000 6.381 0.000
O 0.000 0.000 6.381
O 0.000 4.456 2.228
O 0.000 2.228 4.456
```

Summary:
- Energy: -7.78 eV per atom
- Formation energy from the elements: -309.8 kJ per mole of atoms
- Space group: Im-3m, No. 229
- Crystal system: cubic

---

## KBaPSe4 (PBE-GGA)

Data for a relaxed KBaPSe4 crystal.

Geometry as extended XYZ:
```
28
Lattice="12.715 0.000 0.000 0.000 7.120 0.000 0.000 0.000 10.316" Properties=species:S:1:pos:R:3 pbc="T T T"
K 1.658 1.780 1.719
K 4.699 5.340 6.877
K 8.015 1.780 3.439
K 11.056 5.340 8.597
Ba 1.807 1.780 6.389
Ba 4.551 5.340 1.231
Ba 8.164 1.780 9.085
Ba 10.908 5.340 3.927
P 2.206 5.340 4.081
P 4.151 1.780 9.239
P 8.564 5.340 1.076
P 10.508 1.780 6.234
Se 0.969 5.340 5.939
Se 1.024 5.340 2.199
Se 2.835 3.570 9.223
Se 2.835 7.111 9.223
Se 3.522 0.010 4.065
Se 3.522 3.550 4.065
Se 5.334 1.780 7.357
Se 5.388 1.780 0.781
Se 7.326 5.340 9.535
Se 7.381 5.340 2.958
Se 9.192 3.570 6.251
Se 9.192 7.111 6.251
Se 9.880 0.010 1.093
Se 9.880 3.550 1.093
Se 11.691 1.780 8.116
Se 11.745 1.780 4.377
```

Summary:
- Energy: -4.23 eV per atom
- Formation energy from the elements: -124.7 kJ per mole of atoms
- Space group: Pnma, No. 62
- Crystal system: orthorhombic

---

## K5BaTaP4 (PBE-GGA)

Data for a relaxed K5BaTaP4 crystal.

Geometry as extended XYZ:
```
22
Lattice="5.095 -8.918 0.000 5.095 8.918 0.000 -0.194 0.000 7.994" Properties=species:S:1:pos:R:3 pbc="T T T"
K 4.998 8.374 3.997
K 2.651 1.203 5.555
K 2.748 -1.203 1.558
K 4.948 2.501 1.405
K 7.050 4.768 3.999
K 4.851 -2.501 5.402
K 7.127 1.252 5.328
K 7.223 -1.252 1.331
K 7.147 -4.768 0.002
K 5.095 -8.374 0.000
Ba 2.922 4.741 3.956
Ba 2.825 -4.741 7.953
Ta 4.849 5.930 7.149
Ta 4.946 -5.930 3.152
P 1.912 1.878 2.486
P 4.952 5.851 1.561
P 4.904 3.649 6.328
P 1.815 -1.878 6.483
P 8.086 1.875 2.253
P 5.001 -3.649 2.331
P 4.855 -5.851 5.558
P 7.990 -1.875 6.250
```

Summary:
- Energy: -4.33 eV per atom
- Formation energy from the elements: -58.1 kJ per mole of atoms
- Space group: Cc, No. 9
- Crystal system: monoclinic

---

## K2Ba3Sb4 (PBE-GGA)

Data for a relaxed K2Ba3Sb4 crystal.

Geometry as extended XYZ:
```
72
Lattice="9.466 0.000 0.000 -1.369 11.240 0.000 -0.092 -0.746 29.572" Properties=species:S:1:pos:R:3 pbc="T T T"
K 0.000 0.000 0.000
K -1.020 7.855 11.449
K -1.026 7.646 22.412
K 0.883 3.571 9.118
K 1.018 3.191 24.820
K 2.878 0.224 11.789
K 2.921 0.441 7.488
K 3.069 0.073 21.937
K 2.210 10.037 1.842
K 2.405 9.466 16.957
K 3.940 4.794 26.464
K 4.431 5.171 7.641
K 4.742 9.488 9.902
K 4.777 9.247 24.286
K 7.587 4.567 2.480
K 8.415 3.737 17.115
Ba -1.366 10.600 18.950
Ba -1.334 10.601 14.955
Ba -0.912 7.650 26.183
Ba -0.573 8.092 7.699
Ba 0.802 6.015 14.615
Ba 0.867 5.368 29.542
Ba 0.877 5.936 19.380
Ba 1.231 6.473 4.337
Ba 3.060 -0.099 26.322
Ba 3.853 2.957 3.958
Ba 3.794 4.951 11.795
Ba 4.208 4.861 22.471
Ba 4.536 2.571 29.514
Ba 4.667 2.761 14.949
Ba 4.723 2.825 18.904
Ba 5.453 7.439 14.837
Ba 5.451 7.338 19.094
Ba 5.642 7.979 0.044
Ba 5.748 7.769 4.502
Ba 7.358 1.596 7.370
Ba 7.711 1.372 26.755
Ba 7.824 1.715 12.003
Ba 7.806 1.695 22.015
Ba 9.221 0.388 3.690
Sb -0.962 8.361 2.262
Sb 0.048 -0.523 24.356
Sb 0.712 3.231 5.652
Sb 1.236 2.894 1.606
Sb 1.251 2.511 14.275
Sb 1.345 2.438 19.680
Sb 1.432 2.155 28.242
Sb 2.069 1.447 16.962
Sb 1.774 6.597 24.344
Sb 1.970 6.917 9.623
Sb 2.500 8.155 12.285
Sb 2.503 7.855 27.022
Sb 2.599 7.916 21.827
Sb 2.859 8.318 7.101
Sb 3.457 5.618 16.883
Sb 3.972 6.014 2.220
Sb 4.942 2.387 9.819
Sb 5.036 2.077 24.403
Sb 4.308 11.095 4.561
Sb 4.374 10.448 28.946
Sb 4.610 10.783 14.382
Sb 6.019 -0.446 19.507
Sb 6.388 1.220 2.027
Sb 6.865 0.716 16.935
Sb 6.953 4.546 10.091
Sb 7.016 4.273 24.719
Sb 7.020 4.969 13.044
Sb 7.118 4.840 20.690
Sb 7.137 4.745 27.737
Sb 7.800 4.932 6.072
Sb 8.024 10.932 9.549
Sb 8.407 7.755 16.973
```

Summary:
- Energy: -3.41 eV per atom
- Formation energy from the elements: -74.6 kJ per mole of atoms
- Space group: P1, No. 1
- Crystal system: triclinic

---

## K2BaSnTe4 (PBE-GGA)

Data for a relaxed K2BaSnTe4 crystal.

Geometry as extended XYZ:
```
8
Lattice="-4.305 4.305 4.250 4.305 -4.305 4.250 4.305 4.305 -4.250" Properties=species:S:1:pos:R:3 pbc="T T T"
K 4.305 0.000 0.000
K 0.000 4.305 0.000
Ba 0.000 0.000 0.000
Sn 0.000 0.000 4.250
Te 1.631 -1.631 2.631
Te -1.631 1.631 2.631
Te 2.674 2.674 1.619
Te 1.631 1.631 5.869
```

Summary:
- Energy: -3.55 eV per atom
- Formation energy from the elements: -112.5 kJ per mole of atoms
- Space group: I-42m, No. 121
- Crystal system: tetragonal

---

## Ba3La (PBE-GGA)

Data for a relaxed Ba3La crystal.

Geometry as extended XYZ:
```
4
Lattice="6.024 0.000 0.000 0.000 6.024 0.000 0.000 0.000 6.024" Properties=species:S:1:pos:R:3 pbc="T T T"
Ba 0.000 0.000 3.012
Ba 0.000 3.012 0.000
Ba 3.012 0.000 0.000
La 3.012 3.012 3.012
```

Summary:
- Energy: -2.50 eV per atom
- Formation energy from the elements: 16.6 kJ per mole of atoms
- Space group: Pm-3m, No. 221
- Crystal system: cubic

---

## Ba3La (PBE-GGA)

Data for a relaxed Ba3La crystal.

Geometry as extended XYZ:
```
8
Lattice="8.621 0.000 0.000 -4.311 7.466 0.000 0.000 0.000 6.798" Properties=species:S:1:pos:R:3 pbc="T T T"
Ba 0.000 2.579 1.699
Ba -2.077 6.176 1.699
Ba 2.234 1.290 5.098
Ba 2.077 6.176 1.699
Ba 6.387 1.290 5.098
Ba 4.311 4.887 5.098
La 0.000 4.977 5.098
La 4.311 2.489 1.699
```

Summary:
- Energy: -2.50 eV per atom
- Formation energy from the elements: 16.9 kJ per mole of atoms
- Space group: P6_3/mmc, No. 194
- Crystal system: hexagonal

---

## BaLiLaTeO6 (PBE-GGA)

Data for a relaxed BaLiLaTeO6 crystal.

Geometry as extended XYZ:
```
10
Lattice="0.000 4.047 4.047 4.047 0.000 4.047 4.047 4.047 0.000" Properties=species:S:1:pos:R:3 pbc="T T T"
Ba 0.000 0.000 0.000
Li 6.070 6.070 6.070
La 4.047 4.047 4.047
Te 2.023 2.023 2.023
O 2.023 2.023 0.080
O 2.023 0.080 2.023
O 3.966 2.023 2.023
O 0.080 2.023 2.023
O 2.023 3.966 2.023
O 2.023 2.023 3.966
```

Summary:
- Energy: -6.41 eV per atom
- Formation energy from the elements: -257.3 kJ per mole of atoms
- Largest piezoelectric modulus: 0.06 C/m²
- Space group: F-43m, No. 216
- Crystal system: cubic

---

## BaLaMg6 (PBE-GGA)

Data for a relaxed BaLaMg6 crystal.

Geometry as extended XYZ:
```
8
Lattice="5.354 0.000 0.000 0.000 3.722 5.989 0.000 -3.722 5.989" Properties=species:S:1:pos:R:3 pbc="T T T"
Ba 0.000 0.000 0.000
La 2.677 0.000 3.651
Mg 0.000 0.000 5.796
Mg 0.000 -1.675 8.885
Mg 0.000 1.675 8.885
Mg 2.677 -1.575 6.767
Mg 2.677 1.575 6.767
Mg 2.677 0.000 9.621
```

Summary:
- Energy: -2.07 eV per atom
- Formation energy from the elements: -1.7 kJ per mole of atoms
- Space group: Amm2, No. 38
- Crystal system: orthorhombic

---

## BaLaMg6 (PBE-GGA)

Data for a relaxed BaLaMg6 crystal.

Geometry as extended XYZ:
```
16
Lattice="-1.339 4.546 2.680 -6.879 -2.252 0.382 2.381 -5.491 10.504" Properties=species:S:1:pos:R:3 pbc="T T T"
Ba -2.122 -3.437 10.301
Ba 0.128 0.434 4.858
La -3.299 -0.721 5.104
La 1.330 -2.340 10.165
Mg -2.217 1.250 2.303
Mg -5.609 0.139 2.492
Mg 0.575 -5.636 9.848
Mg -3.032 -6.817 10.048
Mg -3.068 -1.983 1.831
Mg -1.901 -4.674 6.977
Mg -4.466 -2.622 7.746
Mg -0.979 -1.480 7.553
Mg -4.055 -4.016 4.787
Mg -0.782 -2.945 4.605
Mg 1.562 -3.603 6.892
Mg 0.348 -0.802 1.535
```

Summary:
- Energy: -1.97 eV per atom
- Formation energy from the elements: 8.4 kJ per mole of atoms

---

## Ba2LaMgNbO6 (PBE-GGA)

Data for a relaxed Ba2LaMgNbO6 crystal.

Geometry as extended XYZ:
```
11
Lattice="5.167 -2.957 0.000 5.167 2.957 0.000 -3.511 0.000 6.130" Properties=species:S:1:pos:R:3 pbc="T T T"
Ba 0.000 0.000 0.000
Ba 3.432 0.000 4.263
La 3.562 0.000 0.636
Mg -0.093 0.000 3.317
Nb 7.120 0.000 2.479
O 1.160 1.599 3.799
O -1.272 0.000 4.924
O 3.636 1.706 2.168
O 1.160 -1.599 3.799
O 6.049 0.000 0.872
O 3.636 -1.706 2.168
```

Summary:
- Energy: -7.01 eV per atom
- Formation energy from the elements: -272.6 kJ per mole of atoms
- Space group: Cm, No. 8
- Crystal system: monoclinic

---

The records above yield magnetic moment values of 0.00; 0.00; 0.00; 0.00; 0.00; 0.00; 0.27; 0.66; 0.00; 0.34; 0.01; 0.00 μB/cell, respectively.